No. 1
Here is a relaxed MgV5CuO12 crystal from Materials Project. Energies are from PBE with a Hubbard U.

## Properties
- calculated volume (Å³/f.u.) = 251
- energy (Ha/atom) = -0.2647
- magnetic moment (μB/cell) = 4.00
- energy relative to the elements (eV per atom) = -2.268
- SG = P1

a = 6.980 Å, b = 7.003 Å, c = 5.704 Å
α = 72.03°, β = 108.16°, γ = 101.11°
Fractional positions:
O  0.891  0.643  0.177
O  0.972  0.203  0.317
O  0.203  0.972  0.183
O  0.311  0.622  0.111
O  0.621  0.311  0.388
O  0.379  0.066  0.781
O  0.642  0.894  0.319
O  0.410  0.688  0.616
O  0.687  0.406  0.886
O  0.790  0.000  0.869
O  0.998  0.788  0.629
O  0.068  0.382  0.714
Mg  0.741  0.739  0.753
V  0.386  0.807  0.281
V  0.599  0.190  0.720
V  0.191  0.601  0.778
V  0.807  0.386  0.220
V  0.923  0.923  0.250
Cu  0.100  0.101  0.754

No. 2
Here is a relaxed MgV3CuO8 crystal from Materials Project. Energies are from PBE with a Hubbard U.

## Properties
- distance to the lowest polymorph of the same formula (meV per atom) = 0
- calculated volume (Å³/f.u.) = 159
- energy (Ha/atom) = -0.2569
- magnetic moment (μB/cell) = 2.61
- energy relative to the elements (eV per atom) = -2.225
- SG = Cm

a = 6.274 Å, b = 6.274 Å, c = 7.089 Å
α = 75.15°, β = 104.85°, γ = 143.80°
Fractional positions:
O  0.236  0.764  0.359
O  0.863  0.137  0.288
O  0.132  0.868  0.681
O  0.433  0.567  0.635
O  0.770  0.230  0.695
O  0.643  0.357  0.964
O  0.558  0.442  0.387
O  0.363  0.637  0.028
Cu  0.699  0.301  0.299
V  0.283  0.717  0.637
V  0.602  0.398  0.716
V  0.406  0.594  0.307
Mg  0.825  0.175  0.995

No. 3
Here is a relaxed MgV2CuO6 crystal from Materials Project. Energies are from PBE with a Hubbard U.

## Properties
- distance to the lowest polymorph of the same formula (meV per atom) = 54
- calculated volume (Å³/f.u.) = 120
- energy (Ha/atom) = -0.2495
- magnetic moment (μB/cell) = 3.00
- energy relative to the elements (eV per atom) = -2.186
- SG = P1

a = 5.474 Å, b = 5.751 Å, c = 6.218 Å
α = 82.42°, β = 101.90°, γ = 141.32°
Fractional positions:
O  0.466  0.759  0.904
O  0.016  0.912  0.715
O  0.974  0.062  0.284
O  0.547  0.273  0.108
O  0.305  0.695  0.414
O  0.705  0.310  0.573
Mg  0.544  0.540  0.456
V  0.264  0.809  0.687
V  0.746  0.198  0.307
Cu  0.996  0.993  0.995

No. 4
Here is a relaxed Mg14VCuO16 crystal from Materials Project. Energies are from PBE with a Hubbard U.

## Properties
- distance to the lowest polymorph of the same formula (meV per atom) = 0
- calculated volume (Å³/f.u.) = 312
- energy (Ha/atom) = -0.2222
- magnetic moment (μB/cell) = 2.31
- energy relative to the elements (eV per atom) = -2.856
- SG = Pmmm

a = 8.557 Å, b = 8.613 Å, c = 4.239 Å
α = 90.00°, β = 90.00°, γ = 90.00°
Fractional positions:
O  0.500  0.252  0.000
O  0.000  0.736  0.000
O  0.259  0.000  0.000
O  0.749  0.500  0.000
O  0.752  0.250  0.500
O  0.500  0.748  0.000
O  0.248  0.250  0.500
O  0.251  0.500  0.000
O  0.500  0.500  0.500
O  0.248  0.750  0.500
O  0.000  0.000  0.500
O  0.000  0.500  0.500
O  0.752  0.750  0.500
O  0.500  0.000  0.500
O  0.000  0.264  0.000
O  0.741  0.000  0.000
Mg  0.253  0.500  0.500
Mg  0.000  0.243  0.500
Mg  0.250  0.754  0.000
Mg  0.500  0.249  0.500
Mg  0.000  0.757  0.500
Mg  0.750  0.754  0.000
Mg  0.747  0.500  0.500
Mg  0.750  0.246  0.000
Mg  0.500  0.751  0.500
Mg  0.500  0.500  0.000
Mg  0.752  0.000  0.500
Mg  0.500  0.000  0.000
Mg  0.248  0.000  0.500
Mg  0.250  0.246  0.000
Cu  0.000  0.000  0.000
V  0.000  0.500  0.000

No. 5
Here is a relaxed MgVCuO4 crystal from Materials Project. Energies are from PBE with a Hubbard U.

## Properties
- calculated volume (Å³/f.u.) = 81
- energy (Ha/atom) = -0.2397
- magnetic moment (μB/cell) = 0.01
- energy relative to the elements (eV per atom) = -2.218
- SG = Cmcm

a = 5.261 Å, b = 5.261 Å, c = 6.340 Å
α = 90.00°, β = 90.00°, γ = 113.15°
Fractional positions:
O  0.760  0.240  0.529
O  0.760  0.240  0.971
O  0.777  0.730  0.750
O  0.240  0.760  0.029
O  0.730  0.777  0.250
O  0.240  0.760  0.471
O  0.223  0.270  0.250
O  0.270  0.223  0.750
Mg  0.000  0.000  0.000
Mg  0.000  0.000  0.500
V  0.643  0.357  0.750
V  0.357  0.643  0.250
Cu  0.334  0.666  0.750
Cu  0.666  0.334  0.250

No. 6
Here is a relaxed MgV2Cu2O8 crystal from Materials Project. Energies are from PBE with a Hubbard U.

## Properties
- distance to the lowest polymorph of the same formula (meV per atom) = 51
- calculated volume (Å³/f.u.) = 161
- energy (Ha/atom) = -0.2386
- magnetic moment (μB/cell) = 2.00
- energy relative to the elements (eV per atom) = -1.980
- SG = C2/m

a = 6.581 Å, b = 5.851 Å, c = 6.581 Å
α = 120.71°, β = 128.03°, γ = 85.47°
Fractional positions:
Cu  0.500  0.000  0.500
Cu  0.000  0.000  0.000
O  0.238  0.186  0.448
O  0.150  0.674  0.524
O  0.850  0.326  0.476
O  0.283  0.835  0.052
O  0.650  0.674  0.023
O  0.762  0.814  0.552
O  0.717  0.165  0.948
O  0.350  0.326  0.977
Mg  0.500  0.000  0.000
V  0.794  0.563  0.269
V  0.206  0.437  0.731

Q: Which of these has the highest magnetic moment?
A: MgV5CuO12